[1]
Ni5O4 (GGA+U, optimized geometry); offset from the most stable computed form = 0.4582 eV per atom
1.0
-1.3460 -0.3321 4.3436
2.1762 -3.9896 0.3693
3.7738 2.1822 1.3363
Ni O
5 4
Cartesian
0.7176 -0.7494 3.5975 Ni
0.0000 0.0000 0.0000 Ni
3.3018 -1.5343 4.3382 Ni
2.9412 0.3426 2.2914 Ni
2.2474 -2.3378 1.8714 Ni
3.9631 -1.4056 2.4240 O
1.6319 -2.5505 3.7934 O
2.3593 0.2598 4.2337 O
1.2538 -0.5826 1.6474 O



[2]
Mo8O23 (GGA+U, optimized geometry); offset from the most stable computed form = 0.0051 eV per atom
1.0
13.7074 0.0000 0.0000
0.0000 8.1879 0.0000
-4.8472 0.0000 16.5704
O Mo
92 32
Cartesian
-3.7134 4.0945 15.3034 O
11.2417 6.2946 8.3322 O
4.0543 8.1422 1.1591 O
4.7532 8.1455 9.8060 O
9.9524 0.0109 4.0863 O
1.6307 0.0457 9.4443 O
-2.1557 6.1094 16.4417 O
11.2747 1.7659 8.2908 O
1.2844 0.0257 4.2265 O
4.1627 0.0570 6.8249 O
13.6983 6.4220 0.0055 O
11.1746 2.2657 2.7969 O
11.1885 6.2274 5.5699 O
9.7477 4.1163 4.3984 O
5.6770 2.1015 8.2306 O
3.2024 6.0946 8.3784 O
11.2812 2.0116 5.5858 O
10.1238 4.0744 9.5276 O
5.7765 6.2098 5.7798 O
5.6260 2.0933 0.0932 O
3.3490 6.1424 14.0613 O
0.2679 2.0785 8.1565 O
8.6278 2.2119 11.1203 O
2.8413 1.8255 2.7844 O
5.5349 2.0407 2.5370 O
10.9042 6.1524 0.1113 O
4.8092 0.0580 15.4222 O
0.1295 2.0780 2.7332 O
-1.1392 8.1622 12.5117 O
6.0590 1.9600 13.8709 O
0.3084 1.9077 11.0777 O
3.9569 4.0726 1.4338 O
5.9704 2.0012 11.1964 O
7.2328 8.1299 7.1370 O
0.3450 6.0813 8.2807 O
11.0514 5.9760 2.8351 O
5.5477 6.2372 2.5830 O
2.8822 2.0705 5.4632 O
2.7320 6.2802 2.7924 O
8.5103 1.8427 5.6227 O
-1.2898 4.0934 7.0181 O
3.2673 2.1040 16.5154 O
3.2534 6.0864 16.5158 O
7.1170 4.1410 1.6173 O
0.4586 6.1174 13.7485 O
7.5288 8.1769 12.3715 O
4.6934 4.0469 9.9025 O
0.2384 5.9650 5.5074 O
4.9147 4.1110 15.1873 O
5.9888 6.0983 11.1687 O
5.6909 6.0839 8.2302 O
5.6376 6.0670 0.1041 O
0.1912 2.2475 5.4893 O
1.5333 4.1153 9.7190 O
1.7660 4.0387 14.9845 O
13.6653 1.8933 0.0470 O
-0.9433 8.1444 6.8028 O
1.5908 4.0737 3.9704 O
8.3940 6.1867 2.9112 O
9.8174 8.1519 9.8347 O
6.0867 6.3452 13.9079 O
-2.0786 2.1066 16.5660 O
3.3529 1.9780 14.0650 O
12.5474 4.1135 1.2424 O
8.7649 1.9605 13.8551 O
8.4124 2.0895 2.8835 O
3.1113 6.1472 10.8222 O
-3.3669 0.0435 15.0880 O
-2.1852 2.2228 13.7926 O
3.2140 2.1209 8.3893 O
-2.2941 6.1099 11.0184 O
7.1768 0.0424 1.5208 O
8.8576 6.1763 13.8710 O
2.8966 6.2224 5.4664 O
-2.2324 5.9404 13.7745 O
8.4826 6.2279 5.5857 O
3.1241 1.9507 10.8682 O
7.3241 4.0716 12.6836 O
12.2410 0.0359 1.5495 O
-0.8328 4.1142 12.2556 O
7.3383 4.0768 6.9021 O
4.1896 4.1492 6.6993 O
10.9360 2.1068 0.1038 O
8.4806 2.0355 8.3965 O
0.4177 6.3624 11.0697 O
8.5124 6.0810 8.3890 O
0.4730 1.9654 13.7516 O
8.7510 5.9222 11.0821 O
5.7726 2.0455 5.7760 O
0.0416 6.1966 2.7870 O
-2.3820 1.9913 11.0723 O
1.7391 8.1309 15.1101 O
4.9167 6.5162 15.2868 Mo
12.3898 1.7644 1.4114 Mo
9.9704 6.4628 4.2323 Mo
4.1638 6.5049 6.7066 Mo
9.9753 2.3549 9.6683 Mo
7.4945 5.7963 12.5451 Mo
-1.1380 1.6856 6.9761 Mo
7.1407 6.4902 1.6447 Mo
9.9662 6.4234 9.6966 Mo
1.7523 5.7779 14.9737 Mo
-1.0794 1.7170 12.3437 Mo
1.3442 6.4709 4.0585 Mo
7.5468 1.7251 12.5176 Mo
4.1759 2.4100 6.6884 Mo
7.3403 1.6717 7.0015 Mo
1.5228 6.5024 9.6343 Mo
4.9264 2.3720 15.2460 Mo
4.7165 5.7862 9.9184 Mo
-3.5288 2.3737 15.2285 Mo
3.9898 5.8056 1.3561 Mo
7.1401 2.4017 1.6332 Mo
12.3989 5.8330 1.3831 Mo
1.5662 2.3823 9.6413 Mo
7.3500 5.8159 6.9608 Mo
9.9181 2.3916 4.2598 Mo
3.9464 1.6855 1.3491 Mo
-3.5616 6.5023 15.2613 Mo
-1.0768 5.8326 12.3849 Mo
1.7402 1.6830 14.9918 Mo
4.7171 1.6977 9.9299 Mo
-1.1052 5.8142 6.9432 Mo
1.3468 2.3553 4.0997 Mo



[3]
CoH2O2 (GGA+U, optimized geometry); offset from the most stable computed form = 0.0000 eV per atom
1.0
1.6682 1.7823 -2.0633
4.0072 -0.8420 2.5127
0.7416 -4.4764 -3.2672
Co H O
2 4 4
Cartesian
1.0954 -1.4640 -2.5299 Co
6.3074 -3.6531 -2.6822 Co
2.5473 -0.3467 -0.4197 H
3.6702 -3.4025 -2.1514 H
3.7518 -1.6964 -3.0892 H
4.1351 -0.2693 -1.5466 H
4.4755 -3.5882 -1.6369 O
1.7260 -0.1779 -0.9144 O
2.9290 -1.5253 -3.5816 O
4.9411 -0.4583 -1.0333 O



[4]
A plane-wave DFT calculation with GGA+U was carried out for an optimized crystal structure of KBa3Ca4V7Cu3O28.

Structure (POSCAR):
```
KBa3Ca4V7Cu3O28
1.0
-9.3435 1.9993 -6.2677
8.2677 -6.7606 -4.0645
-5.5621 -9.8904 5.1369
O Cu Ca Ba V K
56 6 8 6 14 2
Cartesian
-8.3691 0.0469 -5.4694 O
-4.6053 -3.4349 -7.3911 O
0.6411 -4.6876 -6.9624 O
-7.4774 -2.8452 -2.5761 O
-1.6031 -1.4009 -0.9307 O
-3.5438 -10.5995 -5.6417 O
1.1070 -2.6256 -2.4878 O
-5.4680 -7.9774 -4.8103 O
-1.8941 -2.8539 -3.3368 O
-3.0191 -3.9348 0.4038 O
-3.5130 -9.6093 -2.9952 O
-5.0021 -5.9154 -0.3357 O
-9.8137 -2.4809 -4.1541 O
-2.7648 -7.1516 1.8403 O
-0.3046 -5.2929 -3.8483 O
-1.5734 -8.7001 -4.7930 O
-4.4971 -10.7393 0.5528 O
-4.7448 -11.8355 -1.8259 O
2.3403 -9.5375 -2.1677 O
-1.1228 -6.7057 -0.4652 O
-8.0845 -7.0871 -0.6258 O
-8.3545 -8.2819 -3.2185 O
-7.7660 -11.9484 -2.6514 O
4.6876 -5.5535 -4.2481 O
-4.1987 -9.6766 3.1725 O
2.0400 -5.7946 -2.2756 O
-6.2452 -0.6082 -3.7243 O
1.8136 -14.5930 0.2168 O
2.1827 -4.2223 -4.6007 O
-5.8554 -5.6474 -6.2153 O
-0.1490 -12.8189 1.2570 O
-1.3354 -11.3899 -4.0657 O
-2.5816 -13.6044 -2.8894 O
-0.8018 -9.0282 1.0591 O
-3.1630 -5.0744 -2.1966 O
-2.0524 -11.2624 2.1927 O
3.2223 -12.0472 -1.1030 O
-4.0717 -1.0733 -2.2663 O
-3.2627 -8.5017 -0.5917 O
-9.0486 -5.0496 -3.0501 O
-2.3821 -4.8488 -8.4127 O
-2.1444 -3.9615 -5.7404 O
-11.2291 -9.1166 -0.9489 O
-0.4305 -14.0646 -1.4464 O
-6.0099 -8.7836 -1.6457 O
-3.4107 -6.1705 -4.5754 O
-7.3154 -9.9540 1.6765 O
-3.8014 -7.3973 -7.1099 O
-6.4688 -6.2475 -2.7667 O
0.8381 -11.8550 -2.6077 O
-7.7588 -4.0910 -5.2795 O
-5.3262 -3.3055 -1.1332 O
1.1215 -10.6009 0.1136 O
-6.5286 -1.8622 -6.4456 O
1.7701 -6.9894 -4.8683 O
-4.9810 -13.1391 -4.3411 O
-5.7704 -1.9775 -2.4457 Cu
-6.1724 -3.7568 -6.3067 Cu
-3.9789 -10.1868 -1.2106 Cu
-0.4874 -10.9339 1.1315 Cu
-2.6809 -4.5039 -3.9645 Cu
-0.8894 -12.7131 -2.7294 Cu
-7.7532 -6.5516 -4.8735 Ca
-0.0049 -3.0795 -4.8996 Ca
3.1099 -5.6265 -6.4308 Ca
-4.2331 -7.3049 -2.5122 Ca
-7.3479 -4.7579 -0.9809 Ca
-2.7652 -4.9170 2.5538 Ca
3.5152 -3.8327 -2.5383 Ca
-5.5463 -9.8622 5.1222 Ca
-11.0289 -6.6511 -2.1059 Ba
-5.6397 -7.8043 1.5092 Ba
4.3945 -7.9943 -3.0928 Ba
-6.2602 -10.5505 -4.4502 Ba
-0.3742 -4.0949 -0.7484 Ba
-0.9947 -6.8411 -6.7079 Ba
-2.8353 -3.5677 -7.3284 V
-6.6931 -0.4132 -5.4319 V
-4.6136 -6.7841 -5.7034 V
-2.3334 -1.3461 -2.5074 V
-2.4851 -10.0704 -4.3683 V
1.3984 -5.6170 -3.8763 V
-1.9832 -7.8488 0.4528 V
-8.5267 -3.5843 -3.7796 V
1.8746 -11.0033 -1.4438 V
-7.2531 -7.6422 -2.0423 V
-3.7936 -11.0138 2.1421 V
-4.3028 -13.2673 -2.7482 V
0.1195 -14.2135 0.2183 V
-4.1045 -4.5306 -0.8132 V
-0.0181 -8.1357 -2.5682 K
-8.6696 -10.1609 -0.7341 K
```



[5]
LiMn4O8 (GGA+U, optimized geometry); offset from the most stable computed form = 0.0154 eV per atom
1.0
-4.8463 0.0750 -3.0125
4.6782 -2.0194 -2.5697
-2.0633 -8.7271 3.1020
O Mn Li
16 8 2
Cartesian
-3.8247 -7.3844 -0.4450 O
0.9721 -8.3357 -0.2581 O
-5.4794 -4.0375 -1.5610 O
-0.6542 -2.3436 -0.7362 O
-0.8313 -5.0295 -1.3554 O
0.9256 -6.5916 -2.2969 O
-1.4401 -7.7481 -1.9502 O
-2.2843 -0.3890 -1.4953 O
-2.2660 -9.3044 0.1769 O
1.4364 -3.9509 -1.7994 O
-0.7379 -3.3120 -3.5165 O
-1.3564 -6.7796 0.8301 O
-3.3139 -2.8027 -2.0563 O
-2.3612 -1.2784 -4.0486 O
2.3686 -10.3537 0.4028 O
1.0024 -5.7022 0.2565 O
3.0080 -2.9357 -2.2003 Mn
0.2686 -4.8728 -2.9775 Mn
-0.2826 -6.7941 -0.7573 Mn
-3.0509 -8.7332 -1.5329 Mn
0.3510 -3.9203 -0.2429 Mn
-2.9686 -7.7807 1.2017 Mn
-4.7847 -5.8125 -0.9636 Mn
-1.4903 -1.9381 -2.4123 Mn
-3.7952 -0.8449 -2.7237 Li
2.2859 -6.7725 -0.8421 Li



[6]
Li4V3P8O29 (GGA+U, optimized geometry); offset from the most stable computed form = 0.0052 eV per atom
1.0
-4.6453 -2.3077 8.2300
0.9777 -6.6860 -7.0417
12.4127 -3.9985 5.8514
V P O Li
6 16 58 8
Cartesian
0.9732 -6.0443 2.0856 V
7.8308 -6.9251 4.9826 V
1.1186 -2.0124 5.0317 V
-1.0600 -6.2220 6.6308 V
6.6802 -4.2837 8.9751 V
9.7574 -6.7735 0.3635 V
1.7798 -5.2512 5.2513 P
-1.6443 -7.2787 3.5878 P
1.9069 -9.0635 1.2389 P
3.5408 -4.0493 1.6615 P
4.1837 -6.2217 9.8930 P
0.8790 -2.7770 1.9265 P
7.9450 -7.3139 8.2503 P
-1.5308 -2.9915 6.7065 P
7.8995 -10.1827 5.1193 P
6.9656 -7.7020 1.8353 P
10.4060 -5.7208 3.3999 P
10.3224 -9.9943 0.2785 P
5.2390 -8.9015 5.3526 P
4.5457 -6.7872 -2.8906 P
6.8726 -3.8919 5.7497 P
0.7640 -5.7371 -1.1897 P
1.7454 -4.5302 -1.0965 O
0.5550 -1.9793 3.2021 O
8.3788 -8.7119 4.9024 O
6.1383 -2.8253 5.0408 O
1.8104 -7.8121 2.1698 O
6.9797 -5.1921 4.8879 O
11.5619 -10.7729 0.0672 O
11.8228 -5.4195 3.7956 O
4.2151 -9.0099 4.2606 O
10.6610 -8.4512 0.2905 O
2.7083 -10.1164 1.9347 O
6.3011 -4.2962 7.1587 O
1.4821 -6.9171 -1.9302 O
8.2070 -11.0125 3.8483 O
4.6248 -9.0979 6.7637 O
7.3542 -6.1585 9.0940 O
1.3566 -6.0651 3.9533 O
2.7393 -5.3586 1.7834 O
4.4051 -5.6815 -1.8547 O
10.2827 -6.6939 2.2083 O
6.0658 -7.6000 5.3184 O
9.1742 -7.9472 8.7981 O
6.8299 -8.4191 8.0627 O
8.1667 -7.5939 0.7995 O
9.5514 -6.2529 4.5870 O
0.3749 -9.5080 0.9916 O
0.5820 -5.3281 6.2238 O
-1.6159 -6.3249 4.7874 O
-0.7204 -6.7091 2.4651 O
4.4520 -7.3358 8.8320 O
6.8224 -9.2097 2.2099 O
2.4909 -2.8453 1.8704 O
4.6401 -3.8813 2.6628 O
-1.9770 -4.4742 6.7140 O
3.0922 -5.7563 5.7352 O
7.4768 -6.9140 3.1030 O
5.7033 -7.0786 1.3541 O
3.8314 -8.0817 -2.4138 O
0.3892 -4.2451 2.0884 O
4.0568 -3.9043 0.2142 O
6.2812 -10.1089 5.1564 O
0.6525 -6.2745 0.3186 O
8.3961 -10.8124 6.3692 O
-3.0041 -7.5825 3.0400 O
8.3929 -3.4622 6.0153 O
8.1499 -6.7379 6.7723 O
2.4764 -8.6619 -0.1448 O
7.4051 -3.7813 2.0747 O
9.4376 -10.3298 1.4856 O
1.2988 -9.3901 4.8724 O
3.6893 -6.3511 -4.2089 O
1.7935 -3.7255 4.8088 O
-2.7389 -2.1097 6.7630 O
4.8114 -4.8880 9.4270 O
-0.5644 -5.3495 -1.7238 O
-0.5913 -2.6939 5.5104 O
0.3857 -2.0846 0.6924 O
5.0736 -6.6484 11.1869 O
4.5898 -9.8880 2.4516 Li
5.7088 -2.2261 3.2191 Li
2.4885 -7.9940 4.1553 Li
8.1394 -10.2663 8.2383 Li
0.7099 -2.6886 -1.1526 Li
8.2564 -6.1302 11.2626 Li
6.1533 -5.0853 2.8372 Li
0.9646 -6.7524 -6.4378 Li



[7]
YV2O4 (GGA+U, optimized geometry); offset from the most stable computed form = 0.0302 eV per atom
1.0
-4.4164 2.0274 4.1076
-4.2014 0.1985 -4.7745
3.1294 -5.3641 1.3858
Y O V
2 8 4
Cartesian
-0.5360 -2.5828 -1.6944 Y
-4.3089 1.1129 -0.3335 Y
-1.0728 -4.7149 -1.1597 O
-4.9487 -0.9925 0.1932 O
-2.7563 -1.1502 2.6253 O
-0.5397 -2.1457 0.5257 O
-4.4155 1.5766 1.8786 O
-2.7320 -1.9880 -1.9064 O
-6.5242 1.6576 -0.4628 O
1.0359 -4.7958 1.1817 O
-2.1007 0.0992 -2.3873 V
-1.4181 -0.5510 1.2885 V
1.5647 -2.6821 0.6929 V
-4.0703 -2.5872 -0.5696 V



| no. | DFT formation energy (eV/f.u.) |
| --- | --- |
| 1 | -2.5 |
| 2 | -59.8 |
| 3 | -6.2 |
| 4 | -120.4 |
| 5 | -24.9 |
| 6 | -113.4 |
| 7 | -19.6 |